! Sr5Fe5O14 | Materials Project | GGA+U | relaxed; values from VASP
&SYSTEM
  ibrav = 0, nat = 48, ntyp = 3
/
ATOMIC_SPECIES
O 16.00 O.upf
Fe 55.84 Fe.upf
Sr 87.62 Sr.upf
CELL_PARAMETERS angstrom
-2.751 -1.205 -2.458
4.485 -6.182 -1.988
-8.241 -10.620 14.430
ATOMIC_POSITIONS crystal
O 0.500 0.252 0.800
O 0.500 0.737 0.000
Fe 0.500 0.500 0.600
O 0.500 0.240 0.407
Sr 0.000 0.242 0.897
O 0.000 0.000 0.417
O 0.500 0.500 0.095
O 0.000 0.000 0.583
Fe 0.500 0.000 0.801
Sr 0.000 0.742 0.298
Sr 0.000 0.242 0.103
Sr 0.000 0.758 0.103
O 0.500 0.000 0.701
O 0.000 0.000 0.801
Fe 0.500 0.500 0.000
O 0.500 0.500 0.698
O 0.500 0.748 0.200
Fe 0.500 0.500 0.400
O 0.500 0.252 0.200
O 0.500 0.500 0.905
Sr 0.000 0.258 0.298
O 0.000 0.000 0.199
O 0.500 0.748 0.800
Fe 0.500 0.500 0.802
Fe 0.500 0.500 0.198
O 0.500 0.000 0.900
O 0.000 0.500 0.400
Sr 0.000 0.734 0.500
Fe 0.500 0.000 0.000
O 0.500 0.240 0.593
O 0.500 0.760 0.593
Sr 0.000 0.742 0.702
Fe 0.500 0.000 0.199
Sr 0.000 0.266 0.500
O 0.000 0.500 0.801
O 0.500 0.000 0.100
O 0.500 0.000 0.299
O 0.500 0.500 0.500
Fe 0.500 0.000 0.605
Sr 0.000 0.258 0.702
Fe 0.500 0.000 0.395
O 0.000 0.000 0.000
O 0.000 0.500 0.600
O 0.500 0.760 0.407
Sr 0.000 0.758 0.897
O 0.500 0.263 0.000
O 0.500 0.500 0.302
O 0.000 0.500 0.199
! total energy after the MP2020 corrections = -349.3 eV per cell
! space group = Pmmm, No. 47
! volume = 12.584 Å³ per atom


! Sr4Fe4O13 | Materials Project | GGA+U | relaxed; values from VASP
&SYSTEM
  ibrav = 0, nat = 42, ntyp = 3
/
ATOMIC_SPECIES
O 16.00 O.upf
Fe 55.84 Fe.upf
Sr 87.62 Sr.upf
CELL_PARAMETERS angstrom
0.000 0.000 5.041
10.330 0.000 0.000
-5.165 11.080 -2.521
ATOMIC_POSITIONS crystal
O 0.519 0.699 0.510
Fe 0.022 0.831 0.929
Sr 0.648 0.788 0.324
Sr 0.843 0.977 0.700
O 0.610 0.994 0.237
O 0.788 0.000 0.000
O 0.964 0.458 0.088
Sr 0.144 0.023 0.300
O 0.521 0.564 0.510
O 0.019 0.811 0.510
O 0.511 0.055 0.490
O 0.464 0.629 0.088
O 0.885 0.178 0.922
Fe 0.593 0.902 0.071
Fe 0.472 0.554 0.903
O 0.124 0.748 0.266
O 0.376 0.371 0.912
O 0.373 0.006 0.763
O 0.873 0.758 0.763
O 0.358 0.483 0.734
Sr 0.324 0.212 0.676
O 0.876 0.542 0.912
Sr 0.148 0.536 0.324
O 0.288 0.000 0.000
Sr 0.824 0.464 0.676
O 0.858 0.252 0.734
Fe 0.569 0.446 0.097
Fe 0.093 0.169 0.071
O 0.385 0.744 0.922
Fe 0.522 0.098 0.929
O 0.009 0.301 0.490
O 0.963 0.822 0.078
O 0.463 0.256 0.078
O 0.011 0.436 0.490
Sr 0.644 0.278 0.300
Fe 0.972 0.349 0.903
O 0.110 0.242 0.237
O 0.624 0.517 0.266
Fe 0.069 0.651 0.097
O 0.509 0.189 0.490
Sr 0.343 0.722 0.700
O 0.021 0.945 0.510
! total energy after the MP2020 corrections = -282.7 eV per cell
! space group = Iba2, No. 45
! volume = 13.738 Å³ per atom


! Sr18Fe18O47 | Materials Project | GGA+U | relaxed; values from VASP
&SYSTEM
  ibrav = 0, nat = 83, ntyp = 3
/
ATOMIC_SPECIES
Fe 55.84 Fe.upf
O 16.00 O.upf
Sr 87.62 Sr.upf
CELL_PARAMETERS angstrom
-0.734 -5.506 0.948
1.848 -3.796 -3.726
39.516 -29.102 11.376
ATOMIC_POSITIONS crystal
Fe 0.978 0.979 0.780
O 0.245 0.752 0.416
Sr 0.263 0.263 0.579
O 0.265 0.725 0.978
O 0.770 0.743 0.136
Fe 0.976 0.976 0.447
Fe 0.981 0.981 0.224
O 0.750 0.256 0.805
O 0.269 0.781 0.468
O 0.255 0.748 0.639
O 0.251 0.750 0.194
O 0.748 0.249 0.750
Sr 0.759 0.759 0.636
Sr 0.244 0.244 0.362
Fe 0.494 0.499 0.945
Fe 0.522 0.521 0.275
Fe 0.975 0.019 0.998
Fe 0.973 0.978 0.892
Sr 0.740 0.744 0.864
O 0.781 0.270 0.468
O 0.730 0.757 0.919
O 0.753 0.256 0.360
O 0.745 0.745 0.474
O 0.748 0.254 0.639
Sr 0.248 0.248 0.806
O 0.750 0.750 0.028
O 0.256 0.754 0.360
O 0.752 0.251 0.305
O 0.750 0.250 0.028
Fe 0.981 0.981 0.668
O 0.251 0.750 0.750
Sr 0.741 0.741 0.420
O 0.251 0.753 0.806
O 0.747 0.244 0.695
Fe 0.979 0.979 0.336
O 0.719 0.230 0.587
O 0.249 0.750 0.305
Sr 0.752 0.752 0.750
Sr 0.748 0.748 0.306
O 0.231 0.719 0.587
O 0.713 0.222 0.145
O 0.787 0.278 0.911
O 0.760 0.240 0.970
Sr 0.750 0.750 0.528
Sr 0.765 0.752 0.971
Fe 0.527 0.522 0.164
Sr 0.760 0.756 0.192
O 0.747 0.241 0.861
Fe 0.521 0.521 0.720
Sr 0.256 0.256 0.693
O 0.249 0.747 0.250
O 0.750 0.250 0.528
Fe 0.519 0.519 0.832
O 0.740 0.260 0.086
O 0.250 0.250 0.528
Fe 0.000 0.000 0.555
Fe 0.524 0.524 0.608
Sr 0.735 0.748 0.085
O 0.752 0.246 0.416
Fe 0.519 0.519 0.387
O 0.750 0.752 0.250
O 0.755 0.755 0.581
O 0.261 0.230 0.973
O 0.751 0.750 0.695
O 0.239 0.270 0.082
O 0.248 0.729 0.140
O 0.252 0.771 0.916
Sr 0.237 0.237 0.477
O 0.244 0.746 0.695
Sr 0.250 0.250 0.028
Sr 0.254 0.257 0.136
O 0.750 0.748 0.806
Fe 0.500 0.500 0.500
O 0.250 0.750 0.528
O 0.235 0.775 0.078
Sr 0.246 0.243 0.920
Sr 0.252 0.252 0.250
Fe 0.006 0.001 0.111
O 0.753 0.259 0.195
O 0.750 0.244 0.251
O 0.749 0.750 0.361
O 0.249 0.750 0.861
Fe 0.525 0.481 0.058
! total energy after the MP2020 corrections = -602.6 eV per cell
! space group = P-1, No. 2
! volume = 13.600 Å³ per atom


! Sr4Fe4O11 | Materials Project | GGA+U | relaxed; values from VASP
&SYSTEM
  ibrav = 0, nat = 19, ntyp = 3
/
ATOMIC_SPECIES
O 16.00 O.upf
Fe 55.84 Fe.upf
Sr 87.62 Sr.upf
CELL_PARAMETERS angstrom
3.910 -5.568 0.000
3.910 5.568 0.000
0.000 0.000 5.543
ATOMIC_POSITIONS crystal
O 0.341 0.099 0.760
O 0.099 0.341 0.760
Fe 0.254 0.254 0.000
Sr 0.742 0.258 0.000
Fe 0.500 0.000 0.500
Sr 0.000 0.000 0.500
O 0.274 0.726 0.500
O 0.500 0.500 0.000
Sr 0.500 0.500 0.500
Fe 0.000 0.500 0.500
O 0.099 0.341 0.240
Fe 0.746 0.746 0.000
O 0.341 0.099 0.240
Sr 0.258 0.742 0.000
O 0.659 0.901 0.760
O 0.726 0.274 0.500
O 0.901 0.659 0.760
O 0.659 0.901 0.240
O 0.901 0.659 0.240
! distance to the lowest polymorph of the same formula = 0.00 eV/f.u.
! total energy after the MP2020 corrections = -138.7 eV per cell
! space group = Cmmm, No. 65
! volume = 12.704 Å³ per atom


! Sr16Fe16O43 | Materials Project | GGA+U | relaxed; values from VASP
&SYSTEM
  ibrav = 0, nat = 75, ntyp = 3
/
ATOMIC_SPECIES
Sr 87.62 Sr.upf
O 16.00 O.upf
Fe 55.84 Fe.upf
CELL_PARAMETERS angstrom
4.844 0.013 2.790
1.637 4.567 2.773
0.182 -0.036 44.321
ATOMIC_POSITIONS crystal
Sr 0.249 0.251 0.154
O 0.250 0.732 0.157
O 0.271 0.719 0.351
Fe 0.975 0.981 0.253
Sr 0.258 0.260 0.777
Sr 0.750 0.750 0.219
Fe 0.980 0.980 0.627
Fe 0.500 0.499 0.313
O 0.795 0.281 0.275
O 0.775 0.736 0.153
Fe 0.001 0.000 0.500
Sr 0.251 0.251 0.908
O 0.736 0.262 0.097
Fe 0.524 0.518 0.560
O 0.750 0.250 0.719
O 0.264 0.233 0.969
O 0.253 0.729 0.531
O 0.746 0.748 0.659
Sr 0.765 0.751 0.342
O 0.751 0.750 0.031
Fe 0.978 0.018 0.373
Sr 0.765 0.752 0.967
Sr 0.735 0.749 0.096
O 0.746 0.244 0.843
Sr 0.750 0.747 0.594
O 0.253 0.746 0.845
Sr 0.735 0.748 0.471
Sr 0.250 0.251 0.031
O 0.230 0.720 0.786
O 0.750 0.252 0.031
Fe 0.976 0.982 0.877
Fe 0.522 0.481 0.440
Fe 0.520 0.520 0.810
Fe 0.499 0.500 0.938
O 0.705 0.219 0.163
Sr 0.242 0.240 0.660
O 0.250 0.750 0.719
O 0.725 0.764 0.284
Fe 0.000 0.001 0.125
O 0.270 0.780 0.651
O 0.229 0.781 0.087
O 0.250 0.750 0.219
O 0.236 0.267 0.468
O 0.763 0.236 0.966
O 0.236 0.269 0.093
O 0.754 0.752 0.779
O 0.264 0.231 0.344
O 0.725 0.763 0.910
Fe 0.998 0.000 0.750
O 0.793 0.283 0.899
O 0.707 0.217 0.539
Sr 0.251 0.249 0.283
O 0.229 0.781 0.462
O 0.250 0.768 0.281
Sr 0.750 0.753 0.843
O 0.737 0.264 0.472
O 0.250 0.250 0.719
O 0.750 0.248 0.406
O 0.271 0.719 0.976
Sr 0.249 0.249 0.530
Sr 0.750 0.750 0.719
Sr 0.250 0.249 0.406
O 0.749 0.750 0.406
O 0.247 0.771 0.906
O 0.247 0.754 0.592
Fe 0.978 0.019 0.998
O 0.715 0.232 0.785
O 0.775 0.737 0.528
Fe 0.525 0.519 0.185
Fe 0.502 0.500 0.687
O 0.764 0.238 0.341
O 0.754 0.256 0.594
O 0.785 0.268 0.652
O 0.750 0.250 0.219
Fe 0.522 0.482 0.065
! total energy after the MP2020 corrections = -546.3 eV per cell
! space group = P-1, No. 2
! volume = 13.034 Å³ per atom


! SrFe12O19 | Materials Project | GGA+U | relaxed; values from VASP
&SYSTEM
  ibrav = 0, nat = 64, ntyp = 3
/
ATOMIC_SPECIES
Fe 55.84 Fe.upf
O 16.00 O.upf
Sr 87.62 Sr.upf
CELL_PARAMETERS angstrom
-3.728 4.530 1.248
2.593 -0.349 -5.397
-17.994 -12.651 -7.828
ATOMIC_POSITIONS crystal
Fe 0.832 0.168 0.390
Fe 0.000 0.000 0.750
O 0.817 0.183 0.750
O 0.988 0.494 0.349
O 0.494 0.506 0.849
O 0.012 0.506 0.651
O 0.183 0.366 0.250
O 0.000 0.000 0.653
Fe 0.168 0.336 0.890
O 0.817 0.634 0.750
Fe 0.667 0.333 0.527
O 0.667 0.333 0.444
O 0.155 0.845 0.447
Fe 0.333 0.667 0.473
O 0.506 0.012 0.349
Fe 0.667 0.333 0.691
Fe 0.832 0.168 0.110
O 0.845 0.155 0.947
Fe 0.168 0.336 0.610
Fe 0.000 0.000 0.250
O 0.506 0.494 0.349
O 0.506 0.012 0.151
Sr 0.667 0.333 0.250
O 0.000 0.000 0.153
O 0.494 0.988 0.849
O 0.634 0.817 0.250
Fe 0.000 0.000 0.000
O 0.494 0.988 0.651
Fe 0.000 0.000 0.500
Fe 0.333 0.667 0.027
O 0.183 0.817 0.250
O 0.333 0.667 0.944
Fe 0.333 0.667 0.191
O 0.506 0.494 0.151
O 0.366 0.183 0.750
Fe 0.336 0.168 0.110
O 0.667 0.333 0.056
O 0.494 0.506 0.651
O 0.689 0.845 0.053
O 0.689 0.845 0.447
Fe 0.168 0.832 0.890
Fe 0.832 0.664 0.390
O 0.845 0.689 0.553
O 0.012 0.506 0.849
O 0.155 0.845 0.053
O 0.000 0.000 0.847
O 0.155 0.311 0.053
Fe 0.832 0.664 0.110
O 0.311 0.155 0.947
Fe 0.667 0.333 0.973
Fe 0.664 0.832 0.610
O 0.155 0.311 0.447
O 0.333 0.667 0.556
Fe 0.664 0.832 0.890
Fe 0.667 0.333 0.809
O 0.845 0.155 0.553
Fe 0.333 0.667 0.309
Fe 0.336 0.168 0.390
Fe 0.168 0.832 0.610
Sr 0.333 0.667 0.750
O 0.988 0.494 0.151
O 0.311 0.155 0.553
O 0.000 0.000 0.347
O 0.845 0.689 0.947
! distance to the lowest polymorph of the same formula = 0.00 eV/f.u.
! total energy after the MP2020 corrections = -505.5 eV per cell
! space group = P6_3/mmc, No. 194
! volume = 11.365 Å³ per atom


! Sr2TbFeO6 | Materials Project | GGA+U | relaxed; values from VASP
&SYSTEM
  ibrav = 0, nat = 10, ntyp = 4
/
ATOMIC_SPECIES
Sr 87.62 Sr.upf
O 16.00 O.upf
Fe 55.84 Fe.upf
Tb 158.93 Tb.upf
CELL_PARAMETERS angstrom
0.000 -4.078 -4.078
4.078 0.000 -4.078
4.078 -4.078 0.000
ATOMIC_POSITIONS crystal
Sr 0.750 0.750 0.750
O 0.231 0.231 0.769
Sr 0.250 0.250 0.250
O 0.769 0.231 0.769
O 0.769 0.231 0.231
Fe 0.000 0.000 0.000
O 0.231 0.769 0.769
O 0.231 0.769 0.231
O 0.769 0.769 0.231
Tb 0.500 0.500 0.500
! total energy after the MP2020 corrections = -73.0 eV per cell
! space group = Fm-3m, No. 225
! volume = 13.563 Å³ per atom


! Sr3Fe2TeO9 | Materials Project | GGA+U | relaxed; values from VASP
&SYSTEM
  ibrav = 0, nat = 15, ntyp = 4
/
ATOMIC_SPECIES
Fe 55.84 Fe.upf
Te 127.60 Te.upf
O 16.00 O.upf
Sr 87.62 Sr.upf
CELL_PARAMETERS angstrom
-4.022 -3.669 -1.488
-0.327 5.380 -1.676
3.566 -1.575 -5.753
ATOMIC_POSITIONS crystal
Fe 0.000 0.000 0.516
Te 0.667 0.333 0.167
O 0.504 0.496 0.006
O 0.167 0.833 0.667
Sr 0.000 0.000 0.988
O 0.504 0.008 0.006
O 0.667 0.833 0.667
Sr 0.667 0.333 0.667
O 0.167 0.333 0.667
Fe 0.333 0.667 0.817
O 0.829 0.659 0.328
Sr 0.333 0.667 0.345
O 0.992 0.496 0.006
O 0.341 0.171 0.328
O 0.829 0.171 0.328
! total energy after the MP2020 corrections = -105.7 eV per cell
! space group = P-3m1, No. 164
! volume = 12.782 Å³ per atom


Number 1: DFT formation energy -2.274 eV per atom. Number 2: DFT formation energy -1.733 eV per atom. Number 3: DFT formation energy -2.255 eV per atom. Number 4: DFT formation energy -2.296 eV per atom. Number 5: DFT formation energy -2.279 eV per atom. Number 6: DFT formation energy -1.731 eV per atom. Number 7: DFT formation energy -2.680 eV per atom. Number 8: DFT formation energy -2.400 eV per atom.